[1]
# Tm2CoSi2 r²SCAN relaxed
# Energy, hartree per atom: -0.7718
# M_tot, μB per cell: 1.33
# Energy relative to the elements, eV/atom: -0.797
data_Tm2CoSi2
_chemical_formula_sum 'Tm8 Co4 Si8'
_symmetry_space_group_name_H-M 'C 1 2/m 1'
_symmetry_Int_Tables_number 12
_symmetry_space_group_name_Hall '-C 2y'
_cell_length_a 10.152
_cell_length_b 4.104
_cell_length_c 9.852
_cell_angle_alpha 90.00
_cell_angle_beta 119.09
_cell_angle_gamma 90.00
loop_
_atom_site_label
_atom_site_type_symbol
_atom_site_fract_x
_atom_site_fract_y
_atom_site_fract_z
_atom_site_occupancy
Tm1 Tm 0.002 0.000 0.329 1
Tm2 Tm 0.188 0.000 0.105 1
Co1 Co 0.228 0.500 0.373 1
Si1 Si 0.005 0.500 0.875 1
Si2 Si 0.150 0.500 0.565 1

---

[2]
# HoBO3 r²SCAN relaxed
# Energy, hartree per atom: -0.5529
# M_tot, μB per cell: 0.00
# Energy relative to the elements, eV/atom: -3.417
data_HoBO3
_chemical_formula_sum 'Ho12 B12 O36'
_symmetry_space_group_name_H-M 'C m c m'
_symmetry_Int_Tables_number 63
_symmetry_space_group_name_Hall '-C 2c 2'
_cell_length_a 11.271
_cell_length_b 6.499
_cell_length_c 8.788
_cell_angle_alpha 90.00
_cell_angle_beta 90.00
_cell_angle_gamma 90.00
loop_
_atom_site_label
_atom_site_type_symbol
_atom_site_fract_x
_atom_site_fract_y
_atom_site_fract_z
_atom_site_occupancy
Ho1 Ho 0.000 0.000 0.000 1
Ho2 Ho 0.171 0.500 0.000 1
B1 B 0.000 0.423 0.250 1
B2 B 0.121 0.213 0.750 1
O1 O 0.000 0.117 0.750 1
O2 O 0.000 0.314 0.106 1
O3 O 0.109 0.444 0.750 1
O4 O 0.176 0.158 0.608 1

---

[3]
# La2Al7Cu r²SCAN relaxed
# Energy, hartree per atom: -0.4485
# M_tot, μB per cell: 0.00
# Energy relative to the elements, eV/atom: -0.459
data_La2Al7Cu
_chemical_formula_sum 'La2 Al7 Cu1'
_symmetry_space_group_name_H-M 'P 4 m m'
_symmetry_Int_Tables_number 99
_symmetry_space_group_name_Hall 'P 4 -2'
_cell_length_a 4.322
_cell_length_b 4.322
_cell_length_c 10.880
_cell_angle_alpha 90.00
_cell_angle_beta 90.00
_cell_angle_gamma 90.00
loop_
_atom_site_label
_atom_site_type_symbol
_atom_site_fract_x
_atom_site_fract_y
_atom_site_fract_z
_atom_site_occupancy
La1 La 0.000 0.000 0.000 1
La2 La 0.500 0.500 0.496 1
Al1 Al 0.000 0.000 0.382 1
Al2 Al 0.000 0.000 0.616 1
Al3 Al 0.000 0.500 0.238 1
Al4 Al 0.000 0.500 0.755 1
Al5 Al 0.500 0.500 0.903 1
Cu1 Cu 0.500 0.500 0.125 1

---

[4]
# CeGa3Ni r²SCAN relaxed
# Energy, hartree per atom: -0.5907
# M_tot, μB per cell: 1.66
# Energy relative to the elements, eV/atom: -0.643
data_CeGa3Ni
_chemical_formula_sum 'Ce2 Ga6 Ni2'
_symmetry_space_group_name_H-M 'C 1 m 1'
_symmetry_Int_Tables_number 8
_symmetry_space_group_name_Hall 'C -2y'
_cell_length_a 10.981
_cell_length_b 4.224
_cell_length_c 4.219
_cell_angle_alpha 90.00
_cell_angle_beta 112.42
_cell_angle_gamma 90.00
loop_
_atom_site_label
_atom_site_type_symbol
_atom_site_fract_x
_atom_site_fract_y
_atom_site_fract_z
_atom_site_occupancy
Ce1 Ce 0.000 0.000 0.000 1
Ga1 Ga 0.250 0.000 0.750 1
Ga2 Ga 0.250 0.500 0.250 1
Ga3 Ga 0.412 0.000 0.411 1
Ni1 Ni 0.142 0.500 0.643 1

---

[5]
# AgAuCl4 r²SCAN relaxed
# Energy, hartree per atom: -0.6081
# M_tot, μB per cell: 0.00
# Energy relative to the elements, eV/atom: -0.454
data_AgAuCl4
_chemical_formula_sum 'Ag4 Au4 Cl16'
_symmetry_space_group_name_H-M 'C 1 2/c 1'
_symmetry_Int_Tables_number 15
_symmetry_space_group_name_Hall '-C 2yc'
_cell_length_a 12.767
_cell_length_b 4.148
_cell_length_c 13.163
_cell_angle_alpha 90.00
_cell_angle_beta 117.51
_cell_angle_gamma 90.00
loop_
_atom_site_label
_atom_site_type_symbol
_atom_site_fract_x
_atom_site_fract_y
_atom_site_fract_z
_atom_site_occupancy
Ag1 Ag 0.000 0.005 0.250 1
Au1 Au 0.000 0.500 0.000 1
Cl1 Cl 0.115 0.457 0.908 1
Cl2 Cl 0.133 0.188 0.149 1

---

[6]
# LiYF4 r²SCAN relaxed
# ΔE to the lowest computed polymorph, eV/f.u.: 0.104
# Energy, hartree per atom: -0.3640
# M_tot, μB per cell: 0.00
# Energy relative to the elements, eV/atom: -4.038
data_LiYF4
_chemical_formula_sum 'Li2 Y2 F8'
_symmetry_space_group_name_H-M 'P 1 2/c 1'
_symmetry_Int_Tables_number 13
_symmetry_space_group_name_Hall '-P 2yc'
_cell_length_a 4.999
_cell_length_b 5.289
_cell_length_c 5.286
_cell_angle_alpha 90.00
_cell_angle_beta 90.75
_cell_angle_gamma 90.00
loop_
_atom_site_label
_atom_site_type_symbol
_atom_site_fract_x
_atom_site_fract_y
_atom_site_fract_z
_atom_site_occupancy
Li1 Li 0.000 0.244 0.250 1
Y1 Y 0.500 0.251 0.750 1
F1 F 0.260 0.065 0.062 1
F2 F 0.261 0.434 0.431 1

---

[7]
# PrTa7O19 r²SCAN relaxed
# Energy, hartree per atom: -0.7751
# M_tot, μB per cell: 0.00
# Energy relative to the elements, eV/atom: -3.202
data_PrTa7O19
_chemical_formula_sum 'Pr2 Ta14 O38'
_symmetry_space_group_name_H-M 'P -6 c 2'
_symmetry_Int_Tables_number 188
_symmetry_space_group_name_Hall 'P -6c 2'
_cell_length_a 6.2456
_cell_length_b 6.2456
_cell_length_c 20.0169
_cell_angle_alpha 90.00
_cell_angle_beta 90.00
_cell_angle_gamma 120.00
loop_
_atom_site_label
_atom_site_type_symbol
_atom_site_fract_x
_atom_site_fract_y
_atom_site_fract_z
_atom_site_occupancy
Pr1 Pr 0.0000 0.0000 0.0000 1
Ta1 Ta 0.3347 0.0265 0.1561 1
Ta2 Ta 0.6667 0.3333 0.0000 1
O1 O 0.0000 0.0000 0.1320 1
O2 O 0.0872 0.4203 0.6536 1
O3 O 0.2897 0.0425 0.2500 1
O4 O 0.3865 0.0975 0.0571 1
O5 O 0.6667 0.3333 0.1678 1

---

[8]
# CeCuS2 r²SCAN relaxed
# Energy, hartree per atom: -0.5905
# M_tot, μB per cell: 4.00
# Energy relative to the elements, eV/atom: -1.628
data_CeCuS2
_chemical_formula_sum 'Ce4 Cu4 S8'
_symmetry_space_group_name_H-M 'P 1 21/c 1'
_symmetry_Int_Tables_number 14
_symmetry_space_group_name_Hall '-P 2ybc'
_cell_length_a 6.529
_cell_length_b 7.240
_cell_length_c 6.886
_cell_angle_alpha 90.00
_cell_angle_beta 97.87
_cell_angle_gamma 90.00
loop_
_atom_site_label
_atom_site_type_symbol
_atom_site_fract_x
_atom_site_fract_y
_atom_site_fract_z
_atom_site_occupancy
Ce1 Ce 0.189 0.052 0.301 1
Cu1 Cu 0.432 0.666 0.459 1
S1 S 0.092 0.726 0.499 1
S2 S 0.412 0.117 0.720 1

---

[9]
# Nd2InAg r²SCAN relaxed
# Energy, hartree per atom: -0.9608
# M_tot, μB per cell: 1.37
# Energy relative to the elements, eV/atom: -0.451
data_Nd2InAg
_chemical_formula_sum 'Nd8 In4 Ag4'
_symmetry_space_group_name_H-M 'F m -3 m'
_symmetry_Int_Tables_number 225
_symmetry_space_group_name_Hall '-F 4 2 3'
_cell_length_a 7.647
_cell_length_b 7.647
_cell_length_c 7.647
_cell_angle_alpha 90.00
_cell_angle_beta 90.00
_cell_angle_gamma 90.00
loop_
_atom_site_label
_atom_site_type_symbol
_atom_site_fract_x
_atom_site_fract_y
_atom_site_fract_z
_atom_site_occupancy
Nd1 Nd 0.250 0.250 0.250 1
In1 In 0.000 0.000 0.000 1
Ag1 Ag 0.000 0.000 0.500 1

---

[10]
# V2CdP2O10 r²SCAN relaxed
# Energy, hartree per atom: -0.3966
# M_tot, μB per cell: 8.00
# Energy relative to the elements, eV/atom: -2.392
data_V2CdP2O10
_chemical_formula_sum 'V8 Cd4 P8 O40'
_symmetry_space_group_name_H-M 'P 1 21/c 1'
_symmetry_Int_Tables_number 14
_symmetry_space_group_name_Hall '-P 2ybc'
_cell_length_a 5.171
_cell_length_b 7.958
_cell_length_c 17.210
_cell_angle_alpha 90.00
_cell_angle_beta 92.76
_cell_angle_gamma 90.00
loop_
_atom_site_label
_atom_site_type_symbol
_atom_site_fract_x
_atom_site_fract_y
_atom_site_fract_z
_atom_site_occupancy
V1 V 0.040 0.034 0.148 1
V2 V 0.343 0.625 0.931 1
Cd1 Cd 0.407 0.223 0.316 1
P1 P 0.140 0.232 0.984 1
P2 P 0.163 0.063 0.685 1
O1 O 0.088 0.508 0.858 1
O2 O 0.118 0.677 0.016 1
O3 O 0.173 0.144 0.905 1
O4 O 0.174 0.107 0.050 1
O5 O 0.175 0.245 0.200 1
O6 O 0.199 0.521 0.264 1
O7 O 0.267 0.593 0.683 1
O8 O 0.294 0.694 0.390 1
O9 O 0.364 0.136 0.489 1
O10 O 0.403 0.012 0.640 1

---

[11]
# Li2VSi6O15 r²SCAN relaxed
# Energy, hartree per atom: -0.3510
# M_tot, μB per cell: 4.00
# Energy relative to the elements, eV/atom: -2.839
data_Li2VSi6O15
_chemical_formula_sum 'Li8 V4 Si24 O60'
_symmetry_space_group_name_H-M 'C 1 c 1'
_symmetry_Int_Tables_number 9
_symmetry_space_group_name_Hall 'C -2yc'
_cell_length_a 12.861
_cell_length_b 7.152
_cell_length_c 15.107
_cell_angle_alpha 90.00
_cell_angle_beta 106.76
_cell_angle_gamma 90.00
loop_
_atom_site_label
_atom_site_type_symbol
_atom_site_fract_x
_atom_site_fract_y
_atom_site_fract_z
_atom_site_occupancy
Li1 Li 0.000 0.153 0.000 1
Li2 Li 0.392 0.265 0.081 1
V1 V 0.348 0.227 0.563 1
Si1 Si 0.064 0.095 0.205 1
Si2 Si 0.129 0.324 0.395 1
Si3 Si 0.288 0.075 0.190 1
Si4 Si 0.309 0.420 0.909 1
Si5 Si 0.357 0.484 0.224 1
Si6 Si 0.401 0.038 0.898 1
O1 O 0.001 0.234 0.124 1
O2 O 0.017 0.356 0.419 1
O3 O 0.111 0.193 0.305 1
O4 O 0.165 0.002 0.176 1
O5 O 0.182 0.478 0.877 1
O6 O 0.213 0.226 0.484 1
O7 O 0.283 0.304 0.181 1
O8 O 0.315 0.329 0.667 1
O9 O 0.317 0.193 0.918 1
O10 O 0.342 0.018 0.110 1
O11 O 0.365 0.022 0.291 1
O12 O 0.368 0.494 0.833 1
O13 O 0.373 0.499 0.509 1
O14 O 0.410 0.139 0.464 1
O15 O 0.478 0.430 0.214 1

---

[12]
# Cs2PbO2 r²SCAN relaxed
# Energy, hartree per atom: -0.9211
# M_tot, μB per cell: 0.00
# Energy relative to the elements, eV/atom: -1.374
data_Cs2PbO2
_chemical_formula_sum 'Cs8 Pb4 O8'
_symmetry_space_group_name_H-M 'P -1'
_symmetry_Int_Tables_number 2
_symmetry_space_group_name_Hall '-P 1'
_cell_length_a 7.868
_cell_length_b 8.141
_cell_length_c 10.960
_cell_angle_alpha 76.90
_cell_angle_beta 70.56
_cell_angle_gamma 61.17
loop_
_atom_site_label
_atom_site_type_symbol
_atom_site_fract_x
_atom_site_fract_y
_atom_site_fract_z
_atom_site_occupancy
Cs1 Cs 0.000 0.246 0.494 1
Cs2 Cs 0.014 0.049 0.175 1
Cs3 Cs 0.467 0.931 0.858 1
Cs4 Cs 0.493 0.441 0.816 1
Pb1 Pb 0.037 0.558 0.122 1
Pb2 Pb 0.493 0.197 0.528 1
O1 O 0.189 0.317 0.993 1
O2 O 0.210 0.708 0.023 1
O3 O 0.293 0.911 0.360 1
O4 O 0.336 0.014 0.620 1